No. 1
A plane-wave DFT calculation with GGA+U was carried out for crystalline NaCa3AlFe3Si8O24 at its relaxed geometry.

a b c (Å): 5.339 8.983 9.815
angles (deg): 90.00 105.17 90.00
Sites, in units of the cell vectors:
Na  0.000  0.000  0.000
Ca  0.000  0.900  0.500
Ca  0.500  0.398  0.000
Ca  0.500  0.495  0.500
Al  0.500  0.800  0.000
Fe  0.000  0.290  0.500
Fe  0.000  0.608  0.000
Fe  0.500  0.103  0.500
Si  0.194  0.286  0.209
Si  0.200  0.611  0.716
Si  0.307  0.100  0.795
Si  0.308  0.793  0.282
Si  0.692  0.793  0.718
Si  0.693  0.100  0.205
Si  0.800  0.611  0.284
Si  0.806  0.286  0.791
O  0.099  0.682  0.341
O  0.102  0.212  0.853
O  0.206  0.446  0.135
O  0.213  0.451  0.645
O  0.217  0.102  0.623
O  0.250  0.785  0.111
O  0.282  0.287  0.380
O  0.284  0.949  0.356
O  0.299  0.628  0.887
O  0.309  0.941  0.871
O  0.397  0.718  0.645
O  0.403  0.182  0.147
O  0.597  0.182  0.853
O  0.603  0.718  0.355
O  0.691  0.941  0.129
O  0.701  0.628  0.113
O  0.716  0.949  0.644
O  0.718  0.287  0.620
O  0.750  0.785  0.889
O  0.783  0.102  0.377
O  0.787  0.451  0.355
O  0.794  0.446  0.865
O  0.898  0.212  0.147
O  0.901  0.682  0.659

Summary:
* calculated volume: 11.4 A^3/atom
* crystal system: monoclinic
* formation enthalpy at 0 K: -3044 meV per atom

=====

No. 2
A plane-wave DFT calculation with GGA+U was carried out for crystalline Ca4Mn3CrO12 at its relaxed geometry.

a b c (Å): 5.339 15.153 10.832
angles (deg): 90.00 90.00 90.00
Sites, in units of the cell vectors:
Ca  0.000  0.000  0.000
Ca  0.000  0.000  0.498
Ca  0.000  0.500  0.499
Ca  0.000  0.500  0.999
Ca  0.017  0.250  0.044
Ca  0.017  0.250  0.543
Ca  0.017  0.750  0.044
Ca  0.017  0.750  0.543
Ca  0.500  0.250  0.294
Ca  0.500  0.251  0.793
Ca  0.500  0.749  0.793
Ca  0.500  0.750  0.294
Ca  0.517  0.000  0.250
Ca  0.517  0.000  0.749
Ca  0.517  0.500  0.249
Ca  0.517  0.500  0.749
Mn  0.008  0.375  0.771
Mn  0.008  0.625  0.771
Mn  0.009  0.125  0.271
Mn  0.009  0.375  0.271
Mn  0.009  0.625  0.271
Mn  0.009  0.875  0.271
Mn  0.509  0.125  0.521
Mn  0.509  0.375  0.021
Mn  0.509  0.375  0.521
Mn  0.509  0.625  0.021
Mn  0.509  0.625  0.521
Mn  0.509  0.875  0.521
Cr  0.008  0.125  0.771
Cr  0.008  0.875  0.771
Cr  0.506  0.125  0.022
Cr  0.506  0.875  0.022
O  0.084  0.000  0.781
O  0.087  0.500  0.281
O  0.087  0.500  0.781
O  0.088  0.000  0.281
O  0.215  0.145  0.418
O  0.215  0.355  0.417
O  0.215  0.355  0.917
O  0.215  0.645  0.417
O  0.215  0.645  0.917
O  0.215  0.855  0.418
O  0.216  0.145  0.917
O  0.216  0.855  0.917
O  0.302  0.145  0.168
O  0.302  0.145  0.667
O  0.302  0.355  0.667
O  0.302  0.645  0.667
O  0.302  0.855  0.168
O  0.302  0.855  0.667
O  0.303  0.355  0.167
O  0.303  0.645  0.167
O  0.430  0.000  0.531
O  0.431  0.500  0.031
O  0.431  0.500  0.531
O  0.432  0.000  0.030
O  0.586  0.250  0.011
O  0.586  0.750  0.011
O  0.587  0.250  0.512
O  0.587  0.750  0.512
O  0.714  0.105  0.375
O  0.714  0.895  0.375
O  0.715  0.395  0.375
O  0.715  0.395  0.875
O  0.715  0.605  0.375
O  0.715  0.605  0.875
O  0.716  0.105  0.875
O  0.716  0.895  0.875
O  0.802  0.105  0.125
O  0.802  0.395  0.625
O  0.802  0.605  0.625
O  0.802  0.895  0.125
O  0.803  0.105  0.625
O  0.803  0.395  0.125
O  0.803  0.605  0.125
O  0.803  0.895  0.625
O  0.930  0.250  0.261
O  0.930  0.750  0.261
O  0.931  0.250  0.762
O  0.931  0.750  0.762

Summary:
* calculated volume: 11.0 A^3/atom
* crystal system: monoclinic
* formation enthalpy at 0 K: -2529 meV per atom

=====

No. 3
A plane-wave DFT calculation with GGA+U was carried out for crystalline Li9Mn7O16 at its relaxed geometry.

a b c (Å): 6.043 6.493 8.150
angles (deg): 87.99 74.59 75.26
Sites, in units of the cell vectors:
Li  0.000  0.000  0.000
Li  0.000  0.500  0.500
Li  0.133  0.372  0.131
Li  0.245  0.236  0.763
Li  0.369  0.119  0.358
Li  0.500  0.000  0.000
Li  0.631  0.881  0.642
Li  0.755  0.764  0.237
Li  0.867  0.628  0.869
Mn  0.127  0.879  0.632
Mn  0.246  0.750  0.245
Mn  0.373  0.632  0.876
Mn  0.500  0.500  0.500
Mn  0.627  0.368  0.124
Mn  0.754  0.250  0.755
Mn  0.873  0.121  0.368
O  0.056  0.179  0.583
O  0.099  0.688  0.075
O  0.182  0.050  0.200
O  0.196  0.574  0.673
O  0.319  0.450  0.303
O  0.319  0.918  0.812
O  0.405  0.799  0.426
O  0.445  0.321  0.921
O  0.555  0.679  0.079
O  0.595  0.201  0.574
O  0.681  0.082  0.188
O  0.681  0.550  0.697
O  0.804  0.426  0.327
O  0.818  0.950  0.800
O  0.901  0.312  0.925
O  0.944  0.821  0.417

Summary:
* calculated volume: 9.3 A^3/atom
* crystal system: triclinic
* formation enthalpy at 0 K: -2137 meV per atom

=====

No. 4
A plane-wave DFT calculation with GGA+U was carried out for crystalline LiCoP4O12 at its relaxed geometry.

a b c (Å): 7.004 7.004 9.643
angles (deg): 91.29 91.29 109.26
Sites, in units of the cell vectors:
Li  0.158  0.842  0.750
Li  0.842  0.158  0.250
Co  0.116  0.884  0.250
Co  0.884  0.116  0.750
P  0.203  0.275  0.029
P  0.275  0.203  0.529
P  0.275  0.637  0.469
P  0.363  0.725  0.031
P  0.637  0.275  0.969
P  0.725  0.363  0.531
P  0.725  0.797  0.471
P  0.797  0.725  0.971
O  0.072  0.268  0.902
O  0.109  0.145  0.149
O  0.131  0.653  0.353
O  0.145  0.109  0.649
O  0.225  0.397  0.479
O  0.263  0.727  0.895
O  0.268  0.072  0.402
O  0.273  0.737  0.605
O  0.293  0.500  0.093
O  0.347  0.869  0.147
O  0.397  0.225  0.979
O  0.500  0.293  0.593
O  0.500  0.707  0.407
O  0.603  0.775  0.021
O  0.653  0.131  0.853
O  0.707  0.500  0.907
O  0.727  0.263  0.395
O  0.732  0.928  0.598
O  0.737  0.273  0.105
O  0.775  0.603  0.521
O  0.855  0.891  0.351
O  0.869  0.347  0.647
O  0.891  0.855  0.851
O  0.928  0.732  0.098

Summary:
* calculated volume: 12.4 A^3/atom
* crystal system: monoclinic
* formation enthalpy at 0 K: -2363 meV per atom

=====

No. 5
A plane-wave DFT calculation with GGA+U was carried out for crystalline La2MgMoO6 at its relaxed geometry.

a b c (Å): 5.638 5.638 5.638
angles (deg): 61.29 61.29 61.29
Sites, in units of the cell vectors:
La  0.248  0.248  0.248
La  0.752  0.752  0.752
Mg  0.000  0.000  0.000
Mo  0.500  0.500  0.500
O  0.164  0.338  0.751
O  0.249  0.836  0.662
O  0.338  0.751  0.164
O  0.662  0.249  0.836
O  0.751  0.164  0.338
O  0.836  0.662  0.249

Summary:
* calculated volume: 13.0 A^3/atom
* crystal system: trigonal
* formation enthalpy at 0 K: -3183 meV per atom

=====

No. 6
A plane-wave DFT calculation with GGA+U was carried out for crystalline TbMn2BiO6 at its relaxed geometry.

a b c (Å): 6.011 6.011 6.011
angles (deg): 60.00 60.00 60.00
Sites, in units of the cell vectors:
Tb  0.000  0.000  0.000
Mn  0.250  0.250  0.250
Mn  0.750  0.750  0.750
Bi  0.500  0.500  0.500
O  0.256  0.256  0.744
O  0.256  0.744  0.256
O  0.256  0.744  0.744
O  0.744  0.256  0.256
O  0.744  0.256  0.744
O  0.744  0.744  0.256

Summary:
* calculated volume: 15.4 A^3/atom
* crystal system: cubic
* formation enthalpy at 0 K: -1688 meV per atom

=====

No. 7
A plane-wave DFT calculation with GGA+U was carried out for crystalline Ti5CrP6O24 at its relaxed geometry.

a b c (Å): 8.475 8.475 8.475
angles (deg): 61.90 61.90 61.90
Sites, in units of the cell vectors:
Ti  0.000  0.000  0.000
Ti  0.139  0.139  0.139
Ti  0.502  0.502  0.502
Ti  0.642  0.642  0.642
Ti  0.783  0.783  0.783
Cr  0.283  0.283  0.283
P  0.100  0.392  0.681
P  0.183  0.895  0.597
P  0.392  0.681  0.100
P  0.597  0.183  0.895
P  0.681  0.100  0.392
P  0.895  0.597  0.183
O  0.027  0.825  0.639
O  0.050  0.398  0.198
O  0.084  0.235  0.881
O  0.134  0.327  0.527
O  0.142  0.963  0.755
O  0.198  0.050  0.398
O  0.235  0.881  0.084
O  0.256  0.461  0.643
O  0.327  0.527  0.134
O  0.382  0.738  0.584
O  0.398  0.198  0.050
O  0.461  0.643  0.256
O  0.527  0.134  0.327
O  0.549  0.701  0.900
O  0.584  0.382  0.738
O  0.639  0.027  0.825
O  0.643  0.256  0.461
O  0.701  0.900  0.549
O  0.738  0.584  0.382
O  0.755  0.142  0.963
O  0.825  0.639  0.027
O  0.881  0.084  0.235
O  0.900  0.549  0.701
O  0.963  0.755  0.142

Summary:
* calculated volume: 12.5 A^3/atom
* crystal system: trigonal
* formation enthalpy at 0 K: -2887 meV per atom

=====

No. 8
A plane-wave DFT calculation with GGA+U was carried out for crystalline EuHfFeBiO6 at its relaxed geometry.

a b c (Å): 5.713 5.713 5.713
angles (deg): 60.00 60.00 60.00
Sites, in units of the cell vectors:
Eu  0.000  0.000  0.000
Hf  0.750  0.750  0.750
Fe  0.250  0.250  0.250
Bi  0.500  0.500  0.500
O  0.004  0.004  0.496
O  0.004  0.496  0.004
O  0.004  0.496  0.496
O  0.496  0.004  0.004
O  0.496  0.004  0.496
O  0.496  0.496  0.004

Summary:
* calculated volume: 13.2 A^3/atom
* crystal system: cubic
* formation enthalpy at 0 K: -2578 meV per atom

=====

No. 9
A plane-wave DFT calculation with GGA+U was carried out for crystalline CsCoWO3F3 at its relaxed geometry.

a b c (Å): 7.336 7.336 7.450
angles (deg): 117.71 117.71 92.12
Sites, in units of the cell vectors:
Cs  0.121  0.879  0.750
Cs  0.879  0.121  0.250
Co  0.000  0.500  0.000
Co  0.500  0.000  0.500
W  0.500  0.500  0.000
W  0.500  0.500  0.500
O  0.213  0.464  0.907
O  0.450  0.550  0.750
O  0.464  0.213  0.407
O  0.536  0.787  0.593
O  0.550  0.450  0.250
O  0.787  0.536  0.093
F  0.173  0.827  0.250
F  0.182  0.419  0.270
F  0.419  0.182  0.770
F  0.581  0.818  0.230
F  0.818  0.581  0.730
F  0.827  0.173  0.750

Summary:
* calculated volume: 16.5 A^3/atom
* crystal system: monoclinic
* formation enthalpy at 0 K: -2371 meV per atom

=====

Which formula does entry 7 have? Ti5CrP6O24

=====

What is the formation enthalpy at 0 K in the eighth record? -2578 meV per atom

=====

Copy entry 1 word for word.
A plane-wave DFT calculation with GGA+U was carried out for crystalline NaCa3AlFe3Si8O24 at its relaxed geometry.

a b c (Å): 5.339 8.983 9.815
angles (deg): 90.00 105.17 90.00
Sites, in units of the cell vectors:
Na  0.000  0.000  0.000
Ca  0.000  0.900  0.500
Ca  0.500  0.398  0.000
Ca  0.500  0.495  0.500
Al  0.500  0.800  0.000
Fe  0.000  0.290  0.500
Fe  0.000  0.608  0.000
Fe  0.500  0.103  0.500
Si  0.194  0.286  0.209
Si  0.200  0.611  0.716
Si  0.307  0.100  0.795
Si  0.308  0.793  0.282
Si  0.692  0.793  0.718
Si  0.693  0.100  0.205
Si  0.800  0.611  0.284
Si  0.806  0.286  0.791
O  0.099  0.682  0.341
O  0.102  0.212  0.853
O  0.206  0.446  0.135
O  0.213  0.451  0.645
O  0.217  0.102  0.623
O  0.250  0.785  0.111
O  0.282  0.287  0.380
O  0.284  0.949  0.356
O  0.299  0.628  0.887
O  0.309  0.941  0.871
O  0.397  0.718  0.645
O  0.403  0.182  0.147
O  0.597  0.182  0.853
O  0.603  0.718  0.355
O  0.691  0.941  0.129
O  0.701  0.628  0.113
O  0.716  0.949  0.644
O  0.718  0.287  0.620
O  0.750  0.785  0.889
O  0.783  0.102  0.377
O  0.787  0.451  0.355
O  0.794  0.446  0.865
O  0.898  0.212  0.147
O  0.901  0.682  0.659

Summary:
* calculated volume: 11.4 A^3/atom
* crystal system: monoclinic
* formation enthalpy at 0 K: -3044 meV per atom